Entry 1:
This record from Materials Project describes an optimized crystal structure of TbH12S2NO12. The functional is PBE. Values from VASP.

Quantum ESPRESSO input file:
```
&SYSTEM
  ibrav = 0, nat = 112, ntyp = 5
/
ATOMIC_SPECIES
Tb 158.93 Tb.upf
H 1.01 H.upf
S 32.06 S.upf
N 14.01 N.upf
O 16.00 O.upf
ATOMIC_POSITIONS angstrom
Tb 0.745 2.356 2.495
Tb 0.284 7.238 6.787
Tb 5.380 11.951 1.797
Tb 4.919 16.833 6.089
H 0.017 1.715 8.207
H 0.477 7.880 3.915
H 0.303 10.017 8.035
H 0.764 18.768 3.743
H 0.624 2.645 5.594
H 1.084 6.950 1.302
H 0.554 14.101 7.843
H 1.015 14.684 3.551
H 0.908 10.207 6.591
H 1.368 18.577 2.299
H 1.229 11.698 4.809
H 1.689 17.086 0.517
H 1.812 0.507 0.102
H 1.351 9.088 4.394
H 1.351 1.294 5.291
H 1.811 8.301 0.999
H 1.471 12.977 6.961
H 1.932 15.808 2.669
H 2.256 14.174 2.540
H 1.795 14.611 6.832
H 2.170 13.856 8.284
H 2.631 14.928 3.992
H 2.499 11.315 5.647
H 2.959 17.469 1.355
H 2.705 1.721 7.229
H 3.165 7.874 2.937
H 3.033 4.262 4.593
H 3.493 5.333 0.301
H 3.869 4.579 1.752
H 3.408 5.016 6.044
H 3.732 3.382 5.915
H 4.193 6.213 1.623
H 3.853 10.889 7.585
H 4.313 17.896 3.293
H 4.313 10.101 4.190
H 3.852 18.683 8.482
H 3.974 2.103 8.067
H 4.435 7.492 3.775
H 4.295 0.612 6.285
H 4.756 8.983 1.993
H 4.649 4.506 5.033
H 5.110 5.089 0.741
H 4.580 12.240 7.282
H 5.040 16.544 2.990
H 4.900 0.422 4.841
H 5.360 9.173 0.549
H 5.186 11.310 4.669
H 5.647 17.474 0.377
S 0.038 4.310 7.894
S 0.499 5.284 3.602
S 1.789 11.053 2.025
S 1.328 17.731 6.318
S 4.335 1.458 2.267
S 3.875 8.136 6.559
S 5.165 13.905 4.982
S 5.626 14.879 0.690
N 1.492 13.878 7.487
N 1.953 14.906 3.195
N 3.711 4.283 5.389
N 4.171 5.312 1.097
O 0.107 13.866 1.003
O -0.354 14.918 5.295
O -0.128 3.094 7.060
O 0.333 6.501 2.768
O 0.856 3.945 0.742
O 0.395 5.650 5.034
O 0.972 11.113 0.767
O 0.512 17.672 5.059
O 1.182 1.181 0.419
O 0.722 8.413 4.711
O 0.903 11.700 3.064
O 0.443 17.085 7.356
O 1.024 0.077 2.927
O 0.563 9.518 7.219
O 1.143 2.170 4.888
O 1.604 7.425 0.596
O 1.801 4.599 3.324
O 1.341 4.996 7.616
O 1.559 11.568 5.739
O 2.019 17.216 1.447
O 2.104 9.660 2.389
O 1.643 19.124 6.681
O 3.023 11.872 1.881
O 2.563 16.912 6.173
O 3.101 2.277 2.411
O 2.641 7.318 6.703
O 4.020 0.065 1.903
O 3.560 9.529 6.195
O 3.644 1.974 7.137
O 4.105 7.621 2.845
O 4.323 14.194 0.968
O 3.862 14.591 5.260
O 4.060 11.765 7.988
O 4.521 17.020 3.696
O 5.101 9.672 1.365
O 4.640 19.112 5.657
O 5.221 2.105 1.228
O 4.760 7.490 5.520
O 4.942 10.776 3.873
O 4.481 18.008 8.165
O 5.152 1.518 3.525
O 4.691 8.077 7.817
O 5.268 13.539 3.550
O 4.808 15.245 7.842
O 5.331 12.689 5.817
O 5.791 16.095 1.525
O 6.017 4.271 3.289
O 5.557 5.323 7.581
CELL_PARAMETERS angstrom
6.585 0.000 0.000
0.000 19.190 0.000
-0.921 0.000 8.584
```

Calculated values
Energy of formation = -45.3 eV/f.u.

Entry 2:
This record from Materials Project describes an optimized crystal structure of ZnH20Se2N2O14. The functional is PBE. Values from VASP.

Quantum ESPRESSO input file:
```
&SYSTEM
  ibrav = 0, nat = 78, ntyp = 5
/
ATOMIC_SPECIES
Zn 65.41 Zn.upf
H 1.01 H.upf
Se 78.96 Se.upf
N 14.01 N.upf
O 16.00 O.upf
ATOMIC_POSITIONS angstrom
Zn 0.000 0.000 0.000
Zn -1.329 6.374 4.507
H -2.255 2.361 7.773
H -0.926 4.013 3.266
H -1.661 7.610 6.872
H -0.332 11.511 2.365
H 0.014 1.542 2.267
H -1.315 4.831 6.773
H -0.218 2.179 5.134
H 1.112 4.194 0.627
H 1.515 1.081 1.940
H 0.185 5.293 6.446
H 0.714 8.177 4.728
H 2.043 10.943 0.222
H 1.086 7.100 3.626
H -0.243 12.021 8.133
H 0.660 1.028 6.024
H 1.989 5.345 1.518
H 0.593 2.632 6.578
H 1.922 3.742 2.071
H 1.443 2.287 5.158
H 2.772 4.086 0.651
H 1.081 8.661 8.362
H 2.410 10.460 3.855
H 1.931 9.005 6.942
H 3.260 10.115 2.435
H 1.864 7.402 7.496
H 3.193 11.719 2.989
H 4.096 0.726 0.880
H 2.767 5.647 5.387
H 1.810 1.804 8.791
H 3.139 4.570 4.285
H 3.668 7.455 2.567
H 2.338 11.666 7.074
H 2.741 8.553 8.386
H 4.071 10.568 3.879
H 5.168 7.916 2.240
H 3.839 11.205 6.747
H 4.185 1.236 6.648
H 5.514 5.137 2.142
H 4.779 8.734 5.747
H 6.108 10.386 1.241
Se 1.461 8.063 0.780
Se 0.132 11.058 5.287
Se 3.721 1.689 3.727
Se 2.392 4.684 8.233
N 0.616 2.033 5.735
N 1.945 4.341 1.228
N 1.908 8.406 7.785
N 3.237 10.714 3.278
O -0.096 8.662 1.022
O -1.425 10.459 5.529
O -1.993 1.424 7.572
O -0.664 4.949 3.065
O 0.657 1.373 1.535
O -0.672 5.001 6.042
O -1.106 7.175 8.394
O 0.223 11.945 3.887
O 0.588 7.224 4.475
O -0.742 11.896 8.982
O 1.933 7.083 2.069
O 0.604 12.037 6.576
O 2.554 9.348 0.703
O 1.225 9.773 5.210
O 2.628 2.974 3.803
O 1.299 3.399 8.310
O 3.249 0.710 2.437
O 1.920 5.664 6.944
O 4.595 0.851 0.032
O 3.265 5.523 4.538
O 3.630 0.802 5.126
O 4.959 5.572 0.620
O 4.525 7.746 2.971
O 3.196 11.374 7.478
O 4.517 7.798 5.948
O 5.846 11.323 1.441
O 5.278 2.288 3.485
O 3.949 4.085 7.991
CELL_PARAMETERS angstrom
6.511 0.000 0.000
0.000 12.747 0.000
-2.658 0.000 9.013
```

Calculated values
Energy of formation = -43.8 eV/f.u.

Among the records above, which one has the highest energy of formation?
ZnH20Se2N2O14

The lowest energy of formation belongs to which entry?
TbH12S2NO12